Mg2TaBiO6: optimized geometry, PBE.

Output
Formation energy from the elements in eV/atom: -2.680
Space-group type: P2_1/m
Calculated total energy in eV/atom: -7.13

Cell lengths 7.984, 5.584, 5.613 Å; angles 86.65, 90.00, 90.00 degrees
Positions (direct):
O  0.750  0.875  0.352
O  0.573  0.365  0.696
O  0.250  0.125  0.648
O  0.927  0.365  0.696
O  0.929  0.819  0.874
O  0.571  0.819  0.874
O  0.750  0.407  0.132
O  0.250  0.593  0.868
O  0.427  0.635  0.304
O  0.073  0.635  0.304
O  0.429  0.181  0.126
O  0.071  0.181  0.126
Ta  0.500  0.500  0.000
Ta  0.000  0.500  0.000
Bi  0.500  0.000  0.500
Bi  0.000  0.000  0.500
Mg  0.250  0.474  0.521
Mg  0.750  0.030  0.018
Mg  0.250  0.970  0.982
Mg  0.750  0.526  0.479